Compound: KErP4O12
Source: the Materials Project
Functional: GGA-PBE
Structure: relaxed

Computed properties:
Space group ... P2_1/c
Spin magnetization ... 0.0 Bohr magnetons per cell
Crystal system ... monoclinic
Excess energy over the best structure of this formula in the dataset ... 0.006 eV/atom

a = 8.937 Å, b = 10.382 Å, c = 12.770 Å
α = 55.13°, β = 90.00°, γ = 90.00°
Atoms (fractional coordinates):
1 O 0.790 0.779 0.747
2 O 0.168 0.798 0.020
3 O 0.959 0.073 0.327
4 O 0.261 0.072 0.492
5 O 0.950 0.464 0.897
6 O 0.739 0.928 0.508
7 O 0.453 0.233 0.595
8 O 0.909 0.361 0.308
9 O 0.026 0.135 0.828
10 O 0.714 0.335 0.597
11 O 0.550 0.464 0.397
12 O 0.761 0.928 0.008
13 O 0.844 0.651 0.162
14 O 0.710 0.779 0.247
15 O 0.588 0.434 0.211
16 O 0.832 0.202 0.980
17 O 0.459 0.927 0.173
18 O 0.047 0.233 0.095
19 O 0.322 0.977 0.757
20 O 0.547 0.767 0.405
21 O 0.239 0.072 0.992
22 O 0.974 0.865 0.172
23 O 0.678 0.023 0.243
24 O 0.953 0.767 0.905
25 O 0.450 0.536 0.603
26 O 0.041 0.927 0.673
27 O 0.344 0.349 0.338
28 O 0.409 0.639 0.192
29 O 0.290 0.221 0.753
30 O 0.474 0.135 0.328
31 O 0.822 0.023 0.743
32 O 0.156 0.349 0.838
33 O 0.912 0.434 0.711
34 O 0.088 0.566 0.289
35 O 0.332 0.798 0.520
36 O 0.091 0.639 0.692
37 O 0.178 0.977 0.257
38 O 0.786 0.335 0.097
39 O 0.412 0.566 0.789
40 O 0.214 0.665 0.903
41 O 0.210 0.221 0.253
42 O 0.541 0.073 0.827
43 O 0.050 0.536 0.103
44 O 0.591 0.361 0.808
45 O 0.286 0.665 0.403
46 O 0.668 0.202 0.480
47 O 0.656 0.651 0.662
48 O 0.526 0.865 0.672
49 Er 0.228 0.815 0.184
50 Er 0.728 0.185 0.316
51 Er 0.272 0.815 0.684
52 Er 0.772 0.185 0.816
53 P 0.408 0.110 0.742
54 P 0.092 0.110 0.242
55 P 0.611 0.301 0.522
56 P 0.889 0.301 0.022
57 P 0.169 0.178 0.863
58 P 0.523 0.521 0.726
59 P 0.908 0.890 0.758
60 P 0.831 0.822 0.137
61 P 0.477 0.479 0.274
62 P 0.977 0.521 0.226
63 P 0.023 0.479 0.774
64 P 0.669 0.822 0.637
65 P 0.389 0.699 0.478
66 P 0.592 0.890 0.258
67 P 0.111 0.699 0.978
68 P 0.331 0.178 0.363
69 K 0.933 0.746 0.459
70 K 0.567 0.746 0.959
71 K 0.433 0.254 0.041
72 K 0.067 0.254 0.541

***

Compound: PtI4
Source: the Materials Project
Functional: GGA-PBE
Structure: relaxed

Computed properties:
Space group ... Pbca
Crystal system ... orthorhombic

a = 6.990 Å, b = 13.428 Å, c = 16.008 Å
α = 90.00°, β = 90.00°, γ = 90.00°
Atoms (fractional coordinates):
1 I 0.086 0.272 0.807
2 I 0.441 0.783 0.570
3 I 0.753 0.952 0.069
4 I 0.218 0.453 0.187
5 I 0.559 0.217 0.430
6 I 0.247 0.452 0.431
7 I 0.747 0.452 0.069
8 I 0.718 0.453 0.313
9 I 0.753 0.548 0.569
10 I 0.059 0.283 0.570
11 I 0.253 0.952 0.431
12 I 0.414 0.728 0.307
13 I 0.914 0.772 0.693
14 I 0.441 0.717 0.070
15 I 0.247 0.048 0.931
16 I 0.941 0.717 0.430
17 I 0.059 0.217 0.070
18 I 0.782 0.953 0.313
19 I 0.253 0.548 0.931
20 I 0.559 0.283 0.930
21 I 0.282 0.953 0.187
22 I 0.586 0.228 0.193
23 I 0.414 0.772 0.807
24 I 0.218 0.047 0.687
25 I 0.941 0.783 0.930
26 I 0.914 0.728 0.193
27 I 0.586 0.272 0.693
28 I 0.747 0.048 0.569
29 I 0.086 0.228 0.307
30 I 0.282 0.547 0.687
31 I 0.718 0.047 0.813
32 I 0.782 0.547 0.813
33 Pt 0.405 0.338 0.311
34 Pt 0.095 0.662 0.811
35 Pt 0.595 0.838 0.189
36 Pt 0.595 0.662 0.689
37 Pt 0.905 0.338 0.189
38 Pt 0.095 0.838 0.311
39 Pt 0.905 0.162 0.689
40 Pt 0.405 0.162 0.811

***

Compound: Na3Ca2Ge2P3S3O24
Source: the Materials Project
Functional: GGA-PBE
Structure: relaxed

Computed properties:
Space group ... P1
Spin magnetization ... 0.0 Bohr magnetons per cell
Crystal system ... triclinic

a = 8.775 Å, b = 8.733 Å, c = 22.868 Å
α = 90.23°, β = 89.60°, γ = 120.12°
Atoms (fractional coordinates):
1 O 0.131 0.468 0.592
2 O 0.794 0.963 0.695
3 O 0.508 0.677 0.253
4 O 0.663 0.520 0.642
5 O 0.964 0.823 0.104
6 O 0.177 0.038 0.602
7 O 0.873 0.366 0.910
8 O 0.036 0.210 0.907
9 O 0.657 0.137 0.141
10 O 0.853 0.508 0.144
11 O 0.535 0.675 0.969
12 O 0.949 0.744 0.803
13 O 0.627 0.125 0.412
14 O 0.349 0.486 0.356
15 O 0.138 0.664 0.093
16 O 0.846 0.030 0.098
17 O 0.356 0.486 0.091
18 O 0.798 0.757 0.303
19 O 0.669 0.160 0.734
20 O 0.146 0.466 0.962
21 O 0.166 0.674 0.752
22 O 0.175 0.964 0.200
23 O 0.139 0.491 0.855
24 O 0.862 0.289 0.537
25 O 0.252 0.210 0.808
26 O 0.147 0.679 0.463
27 O 0.256 0.045 0.308
28 O 0.849 0.817 0.600
29 O 0.792 0.970 0.409
30 O 0.325 0.858 0.963
31 O 0.503 0.648 0.860
32 O 0.495 0.365 0.411
33 O 0.627 0.502 0.912
34 O 0.786 0.822 0.194
35 O 0.326 0.832 0.254
36 O 0.495 0.132 0.910
37 O 0.037 0.825 0.408
38 O 0.166 0.490 0.252
39 O 0.179 0.204 0.410
40 O 0.506 0.860 0.358
41 O 0.529 0.659 0.592
42 O 0.349 0.863 0.855
43 O 0.852 0.580 0.037
44 O 0.873 0.505 0.411
45 O 0.325 0.494 0.754
46 O 0.034 0.207 0.195
47 O 0.179 0.149 0.102
48 O 0.179 0.975 0.909
49 O 0.036 0.824 0.696
50 O 0.495 0.161 0.235
51 O 0.961 0.148 0.601
52 O 0.530 0.866 0.090
53 O 0.172 0.208 0.700
54 O 0.418 0.135 0.531
55 O 0.792 0.824 0.910
56 O 0.139 0.648 0.355
57 O 0.493 0.333 0.736
58 O 0.713 0.574 0.537
59 O 0.532 0.856 0.465
60 O 0.325 0.469 0.464
61 O 0.510 0.832 0.753
62 O 0.798 0.046 0.803
63 O 0.494 0.156 0.639
64 O 0.664 0.505 0.236
65 O 0.859 0.343 0.642
66 O 0.836 0.328 0.234
67 O 0.837 0.502 0.733
68 O 0.499 0.342 0.138
69 O 0.336 0.862 0.593
70 O 0.708 0.139 0.036
71 O 0.952 0.203 0.304
72 O 0.419 0.283 0.030
73 P 0.700 0.003 0.747
74 P 0.307 0.305 0.750
75 P 0.311 0.004 0.250
76 P 0.993 0.301 0.247
77 P 0.359 0.046 0.591
78 P 0.994 0.689 0.747
79 P 0.364 0.315 0.090
80 P 0.955 0.639 0.094
81 P 0.696 0.695 0.248
82 Ca 0.675 0.339 0.985
83 Ca 0.997 0.003 0.341
84 Ca 0.333 0.670 0.528
85 Ca 0.317 0.663 0.027
86 Ca 0.668 0.336 0.484
87 Ca 0.993 0.991 0.841
88 Na 0.331 0.036 0.415
89 Na 0.993 0.002 0.504
90 Na 0.334 0.674 0.667
91 Na 0.316 0.659 0.168
92 Na 0.662 0.688 0.086
93 Na 0.682 0.335 0.828
94 Na 0.681 0.346 0.328
95 Na 0.331 0.295 0.915
96 Na 0.007 0.997 0.004
97 S 0.617 0.950 0.412
98 S 0.685 0.048 0.091
99 S 0.952 0.314 0.592
100 S 0.336 0.954 0.910
101 S 0.685 0.639 0.593
102 S 0.336 0.384 0.411
103 S 0.048 0.663 0.410
104 S 0.047 0.383 0.909
105 S 0.617 0.668 0.913
106 Ge 0.659 0.326 0.686
107 Ge 0.009 0.001 0.659
108 Ge 0.666 0.338 0.186
109 Ge 0.333 0.662 0.306
110 Ge 0.332 0.670 0.805
111 Ge 0.014 0.004 0.159

***

For each record above, in turn, the calculated energy relative to the elements values are -2920, -433, -2405 meV per atom.